# YSeBr (PBE-GGA, optimized geometry)
# ρ in Mg/m³: 4.79
# Formation energy in eV/atom: -1.232
data_YSeBr
_chemical_formula_sum 'Y4 Se4 Br4'
_space_group_name_H-M_alt 'F -4 3 m'
_space_group_IT_number 216
_space_group_name_Hall 'F -4 2 3'
_cell_length_a 7.0029
_cell_length_b 7.0029
_cell_length_c 7.0029
_cell_angle_alpha 90.00
_cell_angle_beta 90.00
_cell_angle_gamma 90.00
loop_
_atom_site_label
_atom_site_type_symbol
_atom_site_fract_x
_atom_site_fract_y
_atom_site_fract_z
_atom_site_occupancy
Y1 Y 0.0000 0.0000 0.0000 1
Se1 Se 0.2500 0.2500 0.2500 1
Br1 Br 0.0000 0.0000 0.5000 1